{
  "formula": "Ba3InB3O9",
  "functional": "meta-GGA r2SCAN",
  "state": "relaxed",
  "cell": [[-8.024, -0.403, -0.371], [2.637, -2.385, -7.214], [2.235, -5.759, 5.151]],
  "species": ["B", "B", "O", "O", "O", "O", "In", "O", "B", "Ba", "O", "Ba", "O", "B", "O", "O", "Ba", "O", "O", "B", "In", "O", "O", "O", "O", "Ba", "Ba", "O", "O", "Ba", "O", "B"],
  "frac_coords": [[0.451, 0.135, 0.209], [0.549, 0.865, 0.791], [0.571, 0.068, 0.301], [0.238, 0.502, 0.324], [0.762, 0.498, 0.676], [0.699, 0.429, 0.932], [0.500, 0.500, 0.500], [0.992, 0.930, 0.718], [0.865, 0.791, 0.549], [0.335, 0.237, 0.844], [0.301, 0.571, 0.068], [0.156, 0.665, 0.763], [0.498, 0.676, 0.762], [0.791, 0.549, 0.865], [0.282, 0.008, 0.070], [0.068, 0.301, 0.571], [0.665, 0.763, 0.156], [0.324, 0.238, 0.502], [0.718, 0.992, 0.930], [0.209, 0.451, 0.135], [0.000, 0.000, 0.000], [0.502, 0.324, 0.238], [0.930, 0.718, 0.992], [0.070, 0.282, 0.008], [0.429, 0.932, 0.699], [0.237, 0.844, 0.335], [0.844, 0.335, 0.237], [0.932, 0.699, 0.429], [0.676, 0.762, 0.498], [0.763, 0.156, 0.665], [0.008, 0.070, 0.282], [0.135, 0.209, 0.451]],
  "m_tot_mub_per_cell": 0.00,
  "vol_a3_per_cell": 447.6,
  "formation_energy_mev_per_atom": -2809,
  "sg": "R-3, No. 148"
}